A geometry-optimized Pm3Cd structure, computed with PBE.

The structure in POSCAR format:
```
Pm3Cd
1.0
7.131 0.000 0.000
-3.566 6.176 0.000
0.000 0.000 5.564
Pm Cd
6 2
direct
0.174 0.349 0.250 Pm
0.174 0.826 0.250 Pm
0.349 0.174 0.750 Pm
0.651 0.826 0.250 Pm
0.826 0.174 0.750 Pm
0.826 0.651 0.750 Pm
0.333 0.667 0.750 Cd
0.667 0.333 0.250 Cd
```

Formation enthalpy at 0 K (eV/atom): -0.093
Density (Mg/m³): 7.4

---

A geometry-optimized Pm3Cd structure, computed with PBE.

The structure in POSCAR format:
```
Pm3Cd
1.0
4.863 0.000 0.000
0.000 4.863 0.000
0.000 0.000 10.243
Pm Cd
6 2
direct
0.000 0.000 0.000 Pm
0.000 0.500 0.250 Pm
0.000 0.500 0.750 Pm
0.500 0.000 0.250 Pm
0.500 0.000 0.750 Pm
0.500 0.500 0.500 Pm
0.000 0.000 0.500 Cd
0.500 0.500 0.000 Cd
```

Formation enthalpy at 0 K (eV/atom): -0.094
Magnetic moment (μB per formula unit): 0.009
Density (Mg/m³): 7.5